{"formula": "LiDyF2", "functional": "GGA-PBE", "state": "relaxed", "energy_corrected_mp2020_ev_per_atom": -5.15, "dft_energy_ev_per_cell": -78.66, "sg": "No. 141", "vol_a3_per_cell": 267.3, "cell": [[-3.2232, 3.2232, 6.4327], [3.2232, -3.2232, 6.4327], [3.2232, 3.2232, -6.4327]], "species": ["Li", "Dy", "Li", "Dy", "Li", "F", "Dy", "F", "F", "F", "F", "F", "Dy", "Li", "F", "F"], "frac_coords": [[0.3750, 0.1250, 0.2500], [0.8750, 0.6250, 0.2500], [0.8750, 0.1250, 0.2500], [0.3750, 0.1250, 0.7500], [0.8750, 0.6250, 0.7500], [0.0711, 0.8077, 0.2633], [0.3750, 0.6250, 0.2500], [0.2056, 0.4423, 0.7633], [0.5577, 0.3211, 0.7633], [0.1923, 0.4556, 0.2633], [0.6789, 0.4423, 0.2367], [0.5577, 0.7944, 0.2367], [0.3750, 0.6250, 0.7500], [0.8750, 0.1250, 0.7500], [0.1923, 0.9289, 0.7367], [0.5444, 0.8077, 0.7367]]}


{"formula": "La9B3C6I5", "functional": "GGA-PBE", "state": "relaxed", "energy_corrected_mp2020_ev_per_atom": -6.41, "dft_energy_ev_per_cell": -291.10, "sg": "No. 59", "vol_a3_per_cell": 1119.7, "cell": [[-0.6797, 0.2479, 3.9137], [-7.2887, -3.8549, -1.0217], [15.1904, -29.9227, 4.5340]], "species": ["C", "I", "La", "I", "B", "I", "I", "La", "B", "C", "La", "I", "I", "La", "I", "La", "La", "C", "La", "C", "La", "C", "C", "B", "La", "C", "C", "La", "La", "La", "La", "C", "La", "B", "C", "C", "La", "I", "C", "La", "La", "B", "La", "I", "I", "B"], "frac_coords": [[0.0000, 0.1334, 0.1263], [0.0000, 0.4298, 0.7013], [0.0000, 0.0772, 0.3452], [0.0000, 0.2080, 0.5000], [0.0000, 0.7777, 0.5000], [0.5000, 0.3300, 0.5971], [0.5000, 0.5702, 0.7987], [0.5000, 0.9457, 0.5563], [0.0000, 0.1303, 0.8297], [0.5000, 0.2638, 0.9571], [0.5000, 0.5648, 0.5000], [0.5000, 0.7920, 0.0000], [0.5000, 0.3300, 0.4029], [0.5000, 0.9228, 0.1548], [0.0000, 0.6700, 0.0971], [0.0000, 0.6630, 0.3844], [0.5000, 0.9228, 0.8452], [0.0000, 0.7362, 0.4571], [0.0000, 0.0543, 0.9437], [0.5000, 0.8666, 0.6263], [0.5000, 0.9457, 0.4437], [0.0000, 0.7362, 0.5429], [0.0000, 0.1334, 0.8737], [0.5000, 0.8697, 0.6703], [0.0000, 0.8155, 0.2591], [0.5000, 0.2638, 0.0429], [0.5000, 0.9702, 0.2933], [0.0000, 0.8155, 0.7409], [0.5000, 0.3370, 0.1156], [0.5000, 0.1845, 0.2409], [0.0000, 0.4352, 0.0000], [0.5000, 0.9702, 0.7067], [0.5000, 0.1845, 0.7591], [0.0000, 0.1303, 0.1703], [0.5000, 0.8666, 0.3737], [0.0000, 0.0298, 0.7933], [0.0000, 0.6630, 0.6156], [0.5000, 0.5702, 0.2013], [0.0000, 0.0298, 0.2067], [0.5000, 0.3370, 0.8844], [0.0000, 0.0772, 0.6548], [0.5000, 0.2223, 0.0000], [0.0000, 0.0543, 0.0563], [0.0000, 0.4298, 0.2987], [0.0000, 0.6700, 0.9029], [0.5000, 0.8697, 0.3297]]}


{"formula": "Sr2YMgCu3O7", "functional": "GGA-PBE", "state": "relaxed", "energy_corrected_mp2020_ev_per_atom": -6.39, "dft_energy_ev_per_cell": -84.61, "sg": "No. 25", "de_polymorph_ev_per_atom": 0.000, "vol_a3_per_cell": 197.1, "cell": [[3.4363, 0.0001, 0.0003], [0.0001, 3.9747, 0.0000], [0.0010, 0.0001, 14.4290]], "species": ["O", "O", "O", "Mg", "Sr", "Y", "O", "Cu", "Sr", "O", "O", "Cu", "Cu", "O"], "frac_coords": [[0.4999, 0.0000, 0.6274], [0.0002, 0.5000, 0.4574], [0.5005, 0.0001, 0.3130], [0.5004, 0.5000, 0.3701], [0.4998, 0.5000, 0.1043], [0.4999, 0.5000, 0.5722], [0.9999, 0.5000, 0.6849], [0.0006, 0.0000, 0.2579], [0.4998, 0.5000, 0.8362], [0.9998, 0.0000, 0.8419], [0.9998, 0.5000, 0.9773], [0.9998, 0.0000, 0.6992], [0.9998, 0.0000, 0.9764], [0.9997, 0.0000, 0.1152]]}


{"formula": "FeSiMo", "functional": "GGA-PBE", "state": "relaxed", "dft_energy_ev_per_cell": -102.64, "sg": "No. 38", "vol_a3_per_cell": 149.8, "cell": [[-4.7099, 0.2206, 0.9007], [1.5458, -1.5720, -4.2641], [0.1782, -7.0103, 2.6489]], "species": ["Fe", "Mo", "Mo", "Si", "Fe", "Fe", "Si", "Si", "Mo", "Mo", "Fe", "Si"], "frac_coords": [[0.9986, 0.0014, 0.2567], [0.6659, 0.3341, 0.3213], [0.3326, 0.6674, 0.8092], [0.1670, 0.8330, 0.5000], [0.3443, 0.1685, 0.0000], [0.8315, 0.6557, 0.0000], [0.1671, 0.3377, 0.5000], [0.8335, 0.1665, 0.0000], [0.6659, 0.3341, 0.6787], [0.3326, 0.6674, 0.1908], [0.9986, 0.0014, 0.7433], [0.6623, 0.8329, 0.5000]]}


{"formula": "TaMn2N3", "functional": "GGA-PBE", "state": "relaxed", "energy_corrected_mp2020_ev_per_atom": -9.61, "dft_energy_ev_per_cell": -226.25, "sg": "No. 15", "de_polymorph_ev_per_atom": 0.177, "vol_a3_per_cell": 270.1, "cell": [[-2.2999, 4.0279, 2.9078], [-0.2167, -8.8722, -3.3175], [4.1993, -3.4335, 8.9082]], "species": ["Mn", "Mn", "Ta", "Ta", "Mn", "N", "Mn", "Mn", "Ta", "N", "N", "N", "N", "N", "N", "Ta", "N", "N", "Mn", "N", "Mn", "Mn", "N", "N"], "frac_coords": [[0.5180, 0.4440, 0.3230], [0.2765, 0.2468, 0.9065], [0.3514, 0.6595, 0.3584], [0.6486, 0.3082, 0.1416], [0.5180, 0.0740, 0.8230], [0.7885, 0.5886, 0.1374], [0.4820, 0.5560, 0.6770], [0.7235, 0.7532, 0.0935], [0.3514, 0.6918, 0.8584], [0.7885, 0.1999, 0.6374], [0.3606, 0.0901, 0.9832], [0.6394, 0.9099, 0.0168], [0.6394, 0.7295, 0.5168], [0.2115, 0.8001, 0.3626], [0.0000, 0.6602, 0.7500], [0.6486, 0.3405, 0.6416], [0.0000, 0.9957, 0.2500], [0.0000, 0.0043, 0.7500], [0.4820, 0.9260, 0.1770], [0.0000, 0.3398, 0.2500], [0.7235, 0.9703, 0.5935], [0.2765, 0.0297, 0.4065], [0.3606, 0.2705, 0.4832], [0.2115, 0.4114, 0.8626]]}


{"formula": "Na2TePO11", "functional": "GGA-PBE", "state": "relaxed", "energy_corrected_mp2020_ev_per_atom": -5.32, "dft_energy_ev_per_cell": -144.58, "sg": "No. 4", "vol_a3_per_cell": 478.7, "cell": [[-10.5821, 6.3279, -8.1490], [-4.0587, -3.9781, 2.1814], [-3.1158, 1.3465, 5.0917]], "species": ["Na", "O", "O", "O", "O", "O", "Na", "P", "Te", "O", "O", "O", "O", "O", "O", "Te", "Na", "O", "O", "O", "Na", "O", "O", "O", "O", "O", "O", "O", "O", "P"], "frac_coords": [[0.0440, 0.3307, 0.3327], [0.2113, 0.3354, 0.3280], [0.0626, 0.3821, 0.6928], [0.0577, 0.9204, 0.3730], [0.2306, 0.8241, 0.8992], [0.7335, 0.1231, 0.7192], [0.8126, 0.3313, 0.3303], [0.2632, 0.9930, 0.0046], [0.4952, 0.3317, 0.3270], [0.2335, 0.8769, 0.2808], [0.8680, 0.9761, 0.0179], [0.9320, 0.9823, 0.5664], [0.4328, 0.5530, 0.0195], [0.0614, 0.6947, 0.9310], [0.2379, 0.2752, 0.8338], [0.9952, 0.6683, 0.6730], [0.5440, 0.6693, 0.6673], [0.4371, 0.4360, 0.5455], [0.9328, 0.4470, 0.9805], [0.7379, 0.7248, 0.1662], [0.3126, 0.6687, 0.6697], [0.9371, 0.5640, 0.4545], [0.4320, 0.0177, 0.4336], [0.5577, 0.0796, 0.6270], [0.5614, 0.3053, 0.0690], [0.7113, 0.6646, 0.6720], [0.7306, 0.1759, 0.1008], [0.5626, 0.6179, 0.3072], [0.3680, 0.0239, 0.9821], [0.7632, 0.0070, 0.9954]]}


{"formula": "NdSi2Ag2", "functional": "GGA-PBE", "state": "relaxed", "dft_energy_ev_per_cell": -23.47, "sg": "No. 139", "vol_a3_per_cell": 97.1, "cell": [[-0.3262, -0.6942, 6.1124], [1.7276, 4.4827, 3.8562], [-3.4970, -0.7955, -5.0087]], "species": ["Si", "Ag", "Nd", "Si", "Ag"], "frac_coords": [[0.3917, 0.3917, 0.0000], [0.7500, 0.2500, 0.5000], [0.0000, 0.0000, 0.0000], [0.6083, 0.6083, 0.0000], [0.2500, 0.7500, 0.5000]]}


{"formula": "HgI3N", "functional": "GGA-PBE", "state": "relaxed", "energy_corrected_mp2020_ev_per_atom": -2.12, "dft_energy_ev_per_cell": -41.02, "sg": "No. 14", "vol_a3_per_cell": 1162.3, "cell": [[-6.2982, -1.5931, -6.1409], [-5.9931, 8.1180, 4.0406], [4.8091, 7.5278, -7.9912]], "species": ["I", "I", "N", "Hg", "I", "N", "Hg", "I", "Hg", "N", "I", "N", "I", "I", "I", "I", "Hg", "I", "I", "I"], "frac_coords": [[0.7278, 0.5002, 0.4608], [0.4144, 0.7659, 0.2102], [0.3296, 0.6400, 0.9150], [0.4760, 0.6014, 0.3648], [0.9144, 0.7341, 0.7102], [0.1704, 0.1400, 0.5850], [0.9760, 0.8986, 0.8648], [0.5856, 0.2341, 0.7898], [0.0240, 0.1014, 0.1352], [0.8296, 0.8600, 0.4150], [0.2278, 0.9998, 0.9608], [0.6704, 0.3600, 0.0850], [0.4687, 0.3404, 0.1576], [0.0313, 0.8404, 0.3424], [0.7722, 0.0001, 0.0392], [0.5313, 0.6596, 0.8424], [0.5240, 0.3986, 0.6352], [0.0856, 0.2659, 0.2898], [0.2722, 0.4998, 0.5392], [0.9687, 0.1596, 0.6576]]}